## TbAl2Ge2 (r²SCAN)

Data for a relaxed TbAl2Ge2 crystal.

volume = 20.670 Å³/atom
DFT total energy = -14.983 eV/atom
formation energy from the elements = -496 meV/atom

a b c (Å): 4.2291 4.2291 6.6725
angles (deg): 90.00 90.00 120.00
Space group P-3m1 (No. 164)
Unique sites:
Tb: 0.0000 0.0000 0.0000
Al: 0.3333 0.6667 0.6435
Ge: 0.3333 0.6667 0.2606


## Th4AlGe (r²SCAN)

Data for a relaxed Th4AlGe crystal.

volume = 28.131 Å³/atom
DFT total energy = -52.860 eV/atom
formation energy from the elements = -443 meV/atom

a b c (Å): 7.5247 7.5247 5.9618
angles (deg): 90.00 90.00 90.00
Space group I422 (No. 97)
Unique sites:
Th: 0.1600 0.3400 0.2500
Al: 0.0000 0.0000 0.5000
Ge: 0.0000 0.0000 0.0000